A relaxed SnPO3F crystal, computed with PBE.

Structure (POSCAR):
```
SnPO3F
1.0
-3.870 -7.906 9.720
3.355 -3.185 -1.255
4.895 2.027 3.597
Sn P O F
4 4 12 4
Direct
0.369 0.031 0.713 Sn
0.631 0.969 0.287 Sn
0.131 0.031 0.213 Sn
0.869 0.969 0.787 Sn
0.851 0.384 0.164 P
0.351 0.616 0.336 P
0.149 0.616 0.836 P
0.649 0.384 0.664 P
0.694 0.668 0.555 O
0.083 0.766 0.979 O
0.917 0.234 0.021 O
0.274 0.804 0.199 O
0.226 0.804 0.699 O
0.194 0.332 0.945 O
0.306 0.332 0.445 O
0.806 0.668 0.055 O
0.774 0.196 0.301 O
0.583 0.234 0.521 O
0.726 0.196 0.801 O
0.417 0.766 0.479 O
0.570 0.464 0.834 F
0.930 0.464 0.334 F
0.430 0.536 0.166 F
0.070 0.536 0.666 F
```

Computed properties:
The space-group type is No. 14. As for the formation enthalpy at 0 K: -15.01 eV per formula unit. For the uncorrected energy, the calculation gives -0.237 Ha/atom. Its theoretical density is 3.63 g/cm3.

A relaxed U crystal, computed with PBE.

Structure (POSCAR):
```
U
1.0
0.000 2.216 2.216
2.216 0.000 2.216
2.216 2.216 0.000
U
1
Direct
0.000 0.000 0.000 U
```

Computed properties:
The space-group type is No. 225. The energy above the most stable polymorph in this dataset comes out at 8.57 kcal/mol of atoms. As for the formation enthalpy at 0 K: 0.37 eV per formula unit. For the uncorrected energy, the calculation gives -0.401 Ha/atom. Its theoretical density is 18.16 g/cm3.

A relaxed Ge3Mo crystal, computed with PBE.

Structure (POSCAR):
```
Ge3Mo
1.0
-1.994 1.994 4.245
1.994 -1.994 4.245
1.994 1.994 -4.245
Ge Mo
3 1
Direct
0.750 0.250 0.500 Ge
0.250 0.750 0.500 Ge
0.500 0.500 0.000 Ge
0.000 0.000 0.000 Mo
```

Computed properties:
The space-group type is No. 139. As for the formation enthalpy at 0 K: 1.71 eV per formula unit. For the uncorrected energy, the calculation gives -0.211 Ha/atom. Its theoretical density is 7.72 g/cm3.